{
  "formula": "Na3Ca2Nb2P5SO24",
  "functional": "PBE-GGA",
  "state": "optimized geometry",
  "lattice": [[9.069, 0.000, 0.000], [4.516, 7.869, 0.000], [0.228, 0.096, 22.762]],
  "species": ["Na", "Na", "Na", "Na", "Na", "Na", "Na", "Na", "Na", "Ca", "Ca", "Ca", "Ca", "Ca", "Ca", "Nb", "Nb", "Nb", "Nb", "Nb", "Nb", "P", "P", "P", "P", "P", "P", "P", "P", "P", "P", "P", "P", "P", "P", "P", "S", "S", "S", "O", "O", "O", "O", "O", "O", "O", "O", "O", "O", "O", "O", "O", "O", "O", "O", "O", "O", "O", "O", "O", "O", "O", "O", "O", "O", "O", "O", "O", "O", "O", "O", "O", "O", "O", "O", "O", "O", "O", "O", "O", "O", "O", "O", "O", "O", "O", "O", "O", "O", "O", "O", "O", "O", "O", "O", "O", "O", "O", "O", "O", "O", "O", "O", "O", "O", "O", "O", "O", "O", "O", "O"],
  "frac_coords": [[0.000, 0.000, 0.000], [0.008, 0.665, 0.081], [0.309, 0.664, 0.581], [0.322, 0.304, 0.670], [0.331, 0.310, 0.169], [0.644, 0.993, 0.248], [0.659, 0.637, 0.335], [0.687, 0.627, 0.833], [0.986, 0.995, 0.499], [0.011, 0.982, 0.140], [0.331, 0.317, 0.308], [0.336, 0.315, 0.805], [0.672, 0.640, 0.971], [0.675, 0.647, 0.472], [0.999, 0.981, 0.641], [0.008, 0.967, 0.344], [0.010, 0.974, 0.845], [0.345, 0.307, 0.512], [0.348, 0.314, 0.013], [0.668, 0.638, 0.178], [0.674, 0.635, 0.677], [0.054, 0.613, 0.909], [0.311, 0.687, 0.739], [0.311, 0.959, 0.243], [0.325, 0.613, 0.409], [0.384, 0.630, 0.075], [0.388, 0.941, 0.576], [0.644, 0.022, 0.405], [0.646, 0.291, 0.906], [0.657, 0.942, 0.076], [0.660, 0.352, 0.574], [0.720, 0.274, 0.243], [0.977, 0.355, 0.074], [0.977, 0.625, 0.575], [0.990, 0.683, 0.239], [0.991, 0.278, 0.742], [0.053, 0.287, 0.411], [0.322, 0.025, 0.909], [0.719, 0.954, 0.745], [0.005, 0.761, 0.182], [0.006, 0.181, 0.687], [0.016, 0.174, 0.080], [0.023, 0.762, 0.584], [0.053, 0.121, 0.411], [0.058, 0.787, 0.903], [0.128, 0.305, 0.357], [0.132, 0.504, 0.247], [0.136, 0.313, 0.749], [0.137, 0.506, 0.857], [0.149, 0.362, 0.074], [0.149, 0.789, 0.404], [0.152, 0.449, 0.570], [0.154, 0.021, 0.907], [0.164, 0.276, 0.464], [0.172, 0.513, 0.966], [0.199, 0.761, 0.083], [0.199, 0.813, 0.792], [0.208, 0.944, 0.298], [0.210, 0.970, 0.585], [0.212, 0.986, 0.188], [0.219, 0.760, 0.682], [0.303, 0.134, 0.962], [0.306, 0.514, 0.466], [0.340, 0.511, 0.356], [0.341, 0.100, 0.856], [0.350, 0.507, 0.748], [0.358, 0.097, 0.251], [0.385, 0.116, 0.569], [0.390, 0.450, 0.071], [0.458, 0.657, 0.020], [0.460, 0.851, 0.916], [0.465, 0.832, 0.523], [0.468, 0.651, 0.415], [0.480, 0.358, 0.572], [0.485, 0.690, 0.737], [0.485, 0.783, 0.239], [0.487, 0.118, 0.069], [0.500, 0.612, 0.131], [0.509, 0.841, 0.631], [0.532, 0.147, 0.460], [0.541, 0.276, 0.963], [0.541, 0.304, 0.251], [0.546, 0.093, 0.752], [0.546, 0.303, 0.853], [0.552, 0.096, 0.349], [0.634, 0.848, 0.134], [0.637, 0.474, 0.630], [0.678, 0.436, 0.520], [0.681, 0.436, 0.913], [0.682, 0.842, 0.414], [0.685, 0.830, 0.024], [0.715, 0.450, 0.237], [0.721, 0.787, 0.745], [0.793, 0.975, 0.691], [0.795, 0.166, 0.189], [0.797, 0.170, 0.582], [0.807, 0.970, 0.084], [0.811, 0.693, 0.240], [0.817, 0.455, 0.738], [0.818, 0.024, 0.404], [0.822, 0.117, 0.904], [0.831, 0.942, 0.798], [0.841, 0.174, 0.298], [0.870, 0.477, 0.130], [0.871, 0.658, 0.916], [0.875, 0.607, 0.631], [0.876, 0.653, 0.521], [0.877, 0.441, 0.021], [0.880, 0.428, 0.417], [0.973, 0.175, 0.798], [0.975, 0.811, 0.293]],
  "dft_energy_ev_per_atom": -7.1236
}

{
  "formula": "Na21Ca10Nb2P15S3O72",
  "functional": "PBE-GGA",
  "state": "optimized geometry",
  "lattice": [[9.374, 0.000, 0.000], [4.666, 8.158, 0.000], [0.018, 0.010, 22.684]],
  "species": ["Na", "Na", "Na", "Na", "Na", "Na", "Na", "Na", "Na", "Na", "Na", "Na", "Na", "Na", "Na", "Na", "Na", "Na", "Na", "Na", "Na", "Ca", "Ca", "Ca", "Ca", "Ca", "Ca", "Ca", "Ca", "Ca", "Ca", "Nb", "Nb", "P", "P", "P", "P", "P", "P", "P", "P", "P", "P", "P", "P", "P", "P", "P", "S", "S", "S", "O", "O", "O", "O", "O", "O", "O", "O", "O", "O", "O", "O", "O", "O", "O", "O", "O", "O", "O", "O", "O", "O", "O", "O", "O", "O", "O", "O", "O", "O", "O", "O", "O", "O", "O", "O", "O", "O", "O", "O", "O", "O", "O", "O", "O", "O", "O", "O", "O", "O", "O", "O", "O", "O", "O", "O", "O", "O", "O", "O", "O", "O", "O", "O", "O", "O", "O", "O", "O", "O", "O", "O"],
  "frac_coords": [[0.000, 0.000, 0.000], [0.000, 0.316, 0.844], [0.027, 0.258, 0.491], [0.028, 0.622, 0.756], [0.053, 0.920, 0.674], [0.058, 0.284, 0.170], [0.307, 0.664, 0.176], [0.309, 0.282, 0.668], [0.334, 0.307, 0.333], [0.345, 0.970, 0.582], [0.346, 0.966, 0.082], [0.376, 0.245, 0.003], [0.377, 0.608, 0.487], [0.633, 0.001, 0.490], [0.664, 0.623, 0.001], [0.673, 0.920, 0.171], [0.675, 0.667, 0.674], [0.676, 0.292, 0.924], [0.684, 0.289, 0.408], [0.697, 0.945, 0.845], [0.996, 0.638, 0.256], [0.007, 0.622, 0.101], [0.012, 0.626, 0.396], [0.015, 0.624, 0.900], [0.019, 0.615, 0.603], [0.344, 0.954, 0.419], [0.344, 0.954, 0.738], [0.347, 0.953, 0.925], [0.349, 0.951, 0.238], [0.675, 0.290, 0.567], [0.683, 0.286, 0.069], [0.676, 0.293, 0.765], [0.683, 0.290, 0.265], [0.017, 0.312, 0.998], [0.023, 0.966, 0.827], [0.030, 0.267, 0.331], [0.317, 0.312, 0.500], [0.353, 0.265, 0.827], [0.356, 0.632, 0.330], [0.382, 0.291, 0.166], [0.383, 0.586, 0.664], [0.657, 0.967, 0.329], [0.659, 0.638, 0.829], [0.678, 0.586, 0.165], [0.681, 0.992, 0.666], [0.702, 0.930, 0.998], [0.975, 0.290, 0.665], [0.976, 0.992, 0.166], [0.018, 0.924, 0.502], [0.317, 0.626, 0.002], [0.706, 0.628, 0.501], [0.003, 0.831, 0.453], [0.010, 0.438, 0.334], [0.012, 0.407, 0.941], [0.026, 0.842, 0.559], [0.032, 0.399, 0.053], [0.092, 0.170, 0.389], [0.099, 0.001, 0.881], [0.119, 0.950, 0.771], [0.144, 0.175, 0.279], [0.149, 0.140, 0.670], [0.150, 0.969, 0.173], [0.169, 0.135, 0.997], [0.172, 0.935, 0.497], [0.201, 0.433, 0.835], [0.216, 0.591, 0.331], [0.217, 0.453, 0.173], [0.220, 0.418, 0.447], [0.220, 0.586, 0.673], [0.225, 0.392, 0.558], [0.226, 0.614, 0.951], [0.229, 0.637, 0.057], [0.332, 0.183, 0.772], [0.332, 0.776, 0.997], [0.334, 0.137, 0.496], [0.340, 0.736, 0.276], [0.358, 0.140, 0.171], [0.360, 0.759, 0.672], [0.378, 0.703, 0.388], [0.398, 0.150, 0.881], [0.467, 0.516, 0.606], [0.469, 0.278, 0.108], [0.484, 0.478, 0.001], [0.492, 0.295, 0.497], [0.499, 0.289, 0.218], [0.506, 0.467, 0.714], [0.510, 0.287, 0.818], [0.519, 0.455, 0.322], [0.529, 0.759, 0.171], [0.529, 0.942, 0.998], [0.530, 0.968, 0.671], [0.537, 0.776, 0.497], [0.549, 0.005, 0.385], [0.560, 0.710, 0.885], [0.570, 0.955, 0.274], [0.577, 0.745, 0.775], [0.665, 0.516, 0.105], [0.668, 0.079, 0.608], [0.670, 0.132, 0.321], [0.674, 0.467, 0.214], [0.678, 0.460, 0.819], [0.679, 0.106, 0.998], [0.679, 0.110, 0.717], [0.691, 0.477, 0.499], [0.777, 0.642, 0.559], [0.793, 0.830, 0.054], [0.800, 0.843, 0.942], [0.811, 0.621, 0.453], [0.831, 0.824, 0.334], [0.837, 0.607, 0.832], [0.842, 0.585, 0.173], [0.844, 0.130, 0.821], [0.844, 0.827, 0.673], [0.853, 0.286, 0.318], [0.856, 0.115, 0.215], [0.856, 0.301, 0.997], [0.859, 0.287, 0.717], [0.873, 0.094, 0.500], [0.900, 0.278, 0.607], [0.907, 0.076, 0.106], [0.975, 0.829, 0.173], [0.976, 0.453, 0.672], [0.985, 0.826, 0.832]],
  "dft_energy_ev_per_atom": -6.6083
}

{
  "formula": "Na15Ca10Nb2P9S9O72",
  "functional": "PBE-GGA",
  "state": "optimized geometry",
  "lattice": [[9.297, 0.000, 0.000], [-4.645, 8.098, 0.000], [-0.023, -0.098, 23.302]],
  "species": ["Na", "Na", "Na", "Na", "Na", "Na", "Na", "Na", "Na", "Na", "Na", "Na", "Na", "Na", "Na", "Ca", "Ca", "Ca", "Ca", "Ca", "Ca", "Ca", "Ca", "Ca", "Ca", "Nb", "Nb", "P", "P", "P", "P", "P", "P", "P", "P", "P", "S", "S", "S", "S", "S", "S", "S", "S", "S", "O", "O", "O", "O", "O", "O", "O", "O", "O", "O", "O", "O", "O", "O", "O", "O", "O", "O", "O", "O", "O", "O", "O", "O", "O", "O", "O", "O", "O", "O", "O", "O", "O", "O", "O", "O", "O", "O", "O", "O", "O", "O", "O", "O", "O", "O", "O", "O", "O", "O", "O", "O", "O", "O", "O", "O", "O", "O", "O", "O", "O", "O", "O", "O", "O", "O", "O", "O", "O", "O", "O", "O"],
  "frac_coords": [[0.000, 0.000, 0.000], [0.001, 0.635, 0.502], [0.045, 0.333, 0.095], [0.060, 0.326, 0.594], [0.076, 0.668, 0.185], [0.319, 0.657, 0.682], [0.339, 0.984, 0.763], [0.357, 0.994, 0.264], [0.365, 0.635, 0.004], [0.367, 0.321, 0.838], [0.685, 0.647, 0.419], [0.702, 0.033, 0.181], [0.705, 0.307, 0.681], [0.713, 0.668, 0.919], [0.729, 0.002, 0.497], [0.021, 0.330, 0.928], [0.030, 0.329, 0.744], [0.033, 0.336, 0.428], [0.041, 0.334, 0.244], [0.350, 0.007, 0.612], [0.361, 0.999, 0.402], [0.365, 0.007, 0.111], [0.373, 0.998, 0.902], [0.693, 0.657, 0.074], [0.696, 0.661, 0.574], [0.701, 0.680, 0.274], [0.708, 0.666, 0.775], [0.024, 0.642, 0.336], [0.027, 0.023, 0.841], [0.349, 0.640, 0.836], [0.404, 0.668, 0.172], [0.408, 0.378, 0.676], [0.721, 0.336, 0.833], [0.723, 0.025, 0.336], [0.989, 0.958, 0.172], [0.995, 0.664, 0.672], [0.059, 0.002, 0.505], [0.069, 0.700, 0.008], [0.352, 0.346, 0.336], [0.359, 0.301, 0.003], [0.362, 0.703, 0.508], [0.671, 0.001, 0.010], [0.671, 0.299, 0.507], [0.696, 0.958, 0.672], [0.701, 0.374, 0.176], [0.003, 0.504, 0.677], [0.033, 0.147, 0.502], [0.042, 0.554, 0.283], [0.054, 0.147, 0.794], [0.060, 0.536, 0.003], [0.147, 0.988, 0.455], [0.150, 0.014, 0.559], [0.154, 0.956, 0.178], [0.159, 0.776, 0.063], [0.160, 0.808, 0.959], [0.166, 0.820, 0.339], [0.169, 0.817, 0.679], [0.180, 0.001, 0.843], [0.203, 0.314, 0.004], [0.210, 0.537, 0.503], [0.225, 0.525, 0.178], [0.235, 0.359, 0.680], [0.247, 0.554, 0.782], [0.250, 0.324, 0.286], [0.282, 0.376, 0.389], [0.283, 0.529, 0.890], [0.347, 0.779, 0.563], [0.350, 0.202, 0.054], [0.368, 0.222, 0.950], [0.375, 0.809, 0.459], [0.378, 0.814, 0.842], [0.381, 0.206, 0.342], [0.409, 0.837, 0.178], [0.413, 0.215, 0.679], [0.475, 0.653, 0.115], [0.489, 0.477, 0.622], [0.504, 0.473, 0.006], [0.517, 0.692, 0.508], [0.521, 0.502, 0.329], [0.522, 0.487, 0.729], [0.522, 0.667, 0.222], [0.530, 0.657, 0.826], [0.536, 0.960, 0.675], [0.538, 0.203, 0.839], [0.546, 0.992, 0.339], [0.553, 0.205, 0.177], [0.566, 0.990, 0.960], [0.568, 0.208, 0.458], [0.593, 0.211, 0.562], [0.594, 0.012, 0.064], [0.683, 0.845, 0.008], [0.691, 0.469, 0.226], [0.691, 0.850, 0.721], [0.699, 0.472, 0.507], [0.706, 0.842, 0.325], [0.712, 0.889, 0.617], [0.713, 0.507, 0.827], [0.714, 0.462, 0.123], [0.793, 0.313, 0.777], [0.812, 0.124, 0.283], [0.822, 0.088, 0.392], [0.828, 0.365, 0.886], [0.836, 0.129, 0.678], [0.838, 0.310, 0.504], [0.842, 0.145, 0.006], [0.853, 0.358, 0.180], [0.857, 0.654, 0.324], [0.870, 0.847, 0.823], [0.872, 0.836, 0.223], [0.878, 0.669, 0.722], [0.890, 0.847, 0.506], [0.900, 0.880, 0.115], [0.901, 0.684, 0.008], [0.910, 0.658, 0.615], [0.985, 0.071, 0.899], [0.991, 0.544, 0.392], [0.999, 0.125, 0.179]],
  "dft_energy_ev_per_atom": -6.5364
}

Number 1: calculated volume 14.63 Å³ per atom, corrected total energy (MP2020 scheme) -7.569 eV per atom, formation energy from the elements -2.755 eV per atom. Number 2: calculated volume 14.10 Å³ per atom, corrected total energy (MP2020 scheme) -7.010 eV per atom, formation energy from the elements -2.800 eV per atom. Number 3: calculated volume 15.00 Å³ per atom, corrected total energy (MP2020 scheme) -6.959 eV per atom, formation energy from the elements -2.666 eV per atom.